1.
# PBE CaB2H2, relaxed
# Size of the total moment: 0.0 μB/cell
# ΔE to the lowest computed polymorph: 509 meV/atom
data_CaB2H2
_symmetry_space_group_name_H-M 'P n m a'
_symmetry_Int_Tables_number 62
_cell_length_a 11.114
_cell_length_b 5.321
_cell_length_c 3.233
_cell_angle_alpha 90.00
_cell_angle_beta 90.00
_cell_angle_gamma 90.00
loop_
_symmetry_equiv_pos_as_xyz
'x,y,z'
'-x,-y,-z'
'-x+1/2,-y,z+1/2'
'x+1/2,y,-z+1/2'
'x+1/2,-y+1/2,-z+1/2'
'-x+1/2,y+1/2,z+1/2'
'-x,y+1/2,-z'
'x,-y+1/2,z'
loop_
_atom_site_label
_atom_site_type_symbol
_atom_site_fract_x
_atom_site_fract_y
_atom_site_fract_z
_atom_site_occupancy
Ca1 Ca 0.151 0.250 0.019 1
B1 B 0.107 0.750 0.517 1
B2 B 0.156 0.750 0.016 1
H1 H 0.000 0.000 0.500 1
H2 H 0.049 0.750 0.900 1

***

2.
# PBE Na2Nb3InSi2P4O24, relaxed
# Size of the total moment: 0.0 μB/cell
data_Na2Nb3InSi2P4O24
_symmetry_space_group_name_H-M 'P 1'
_symmetry_Int_Tables_number 1
_cell_length_a 8.856
_cell_length_b 8.864
_cell_length_c 23.022
_cell_angle_alpha 89.94
_cell_angle_beta 89.98
_cell_angle_gamma 60.04
loop_
_symmetry_equiv_pos_as_xyz
'x,y,z'
loop_
_atom_site_label
_atom_site_type_symbol
_atom_site_fract_x
_atom_site_fract_y
_atom_site_fract_z
_atom_site_occupancy
Na1 Na 0.000 0.000 0.000 1
Na2 Na 0.002 0.000 0.506 1
Na3 Na 0.331 0.334 0.169 1
Na4 Na 0.333 0.335 0.673 1
Na5 Na 0.666 0.664 0.836 1
Na6 Na 0.670 0.665 0.334 1
Nb1 Nb 0.001 0.003 0.356 1
Nb2 Nb 0.330 0.330 0.523 1
Nb3 Nb 0.338 0.332 0.023 1
Nb4 Nb 0.662 0.672 0.691 1
Nb5 Nb 0.664 0.667 0.481 1
Nb6 Nb 0.667 0.664 0.981 1
Nb7 Nb 0.667 0.667 0.187 1
Nb8 Nb 0.997 0.004 0.855 1
Nb9 Nb 0.999 0.000 0.144 1
In1 In 0.001 0.001 0.647 1
In2 In 0.331 0.335 0.314 1
In3 In 0.334 0.335 0.817 1
Si1 Si 0.043 0.336 0.416 1
Si2 Si 0.375 0.956 0.584 1
Si3 Si 0.380 0.666 0.085 1
Si4 Si 0.623 0.335 0.917 1
Si5 Si 0.665 0.954 0.084 1
Si6 Si 0.955 0.381 0.084 1
P1 P 0.002 0.291 0.750 1
P2 P 0.043 0.624 0.918 1
P3 P 0.288 0.709 0.750 1
P4 P 0.288 0.999 0.250 1
P5 P 0.334 0.043 0.918 1
P6 P 0.334 0.622 0.418 1
P7 P 0.622 0.045 0.418 1
P8 P 0.664 0.382 0.584 1
P9 P 0.709 0.002 0.750 1
P10 P 0.713 0.288 0.251 1
P11 P 0.953 0.667 0.584 1
P12 P 0.999 0.714 0.251 1
O1 O 0.015 0.810 0.197 1
O2 O 0.023 0.160 0.409 1
O3 O 0.026 0.808 0.910 1
O4 O 0.028 0.186 0.696 1
O5 O 0.109 0.518 0.863 1
O6 O 0.113 0.377 0.359 1
O7 O 0.136 0.500 0.576 1
O8 O 0.146 0.359 0.076 1
O9 O 0.156 0.318 0.758 1
O10 O 0.159 0.537 0.972 1
O11 O 0.162 0.536 0.252 1
O12 O 0.168 0.304 0.474 1
O13 O 0.168 0.806 0.410 1
O14 O 0.169 0.022 0.911 1
O15 O 0.174 0.018 0.197 1
O16 O 0.185 0.789 0.695 1
O17 O 0.186 0.978 0.585 1
O18 O 0.188 0.838 0.094 1
O19 O 0.196 0.976 0.305 1
O20 O 0.201 0.827 0.805 1
O21 O 0.302 0.160 0.972 1
O22 O 0.305 0.536 0.472 1
O23 O 0.307 0.160 0.253 1
O24 O 0.315 0.527 0.756 1
O25 O 0.357 0.497 0.076 1
O26 O 0.368 0.113 0.863 1
O27 O 0.369 0.146 0.576 1
O28 O 0.375 0.516 0.362 1
O29 O 0.468 0.700 0.028 1
O30 O 0.468 0.830 0.246 1
O31 O 0.474 0.696 0.744 1
O32 O 0.480 0.837 0.528 1
O33 O 0.490 0.652 0.428 1
O34 O 0.493 0.145 0.077 1
O35 O 0.493 0.859 0.927 1
O36 O 0.495 0.372 0.576 1
O37 O 0.501 0.636 0.142 1
O38 O 0.503 0.859 0.641 1
O39 O 0.513 0.376 0.859 1
O40 O 0.517 0.113 0.363 1
O41 O 0.527 0.153 0.756 1
O42 O 0.530 0.304 0.975 1
O43 O 0.534 0.305 0.254 1
O44 O 0.536 0.162 0.472 1
O45 O 0.636 0.863 0.142 1
O46 O 0.639 0.496 0.639 1
O47 O 0.650 0.859 0.428 1
O48 O 0.653 0.501 0.928 1
O49 O 0.686 0.474 0.530 1
O50 O 0.699 0.834 0.027 1
O51 O 0.701 0.468 0.246 1
O52 O 0.702 0.827 0.744 1
O53 O 0.789 0.027 0.695 1
O54 O 0.807 0.176 0.197 1
O55 O 0.808 0.023 0.411 1
O56 O 0.820 0.158 0.910 1
O57 O 0.823 0.202 0.587 1
O58 O 0.828 0.196 0.306 1
O59 O 0.828 0.973 0.805 1
O60 O 0.829 0.473 0.745 1
O61 O 0.830 0.701 0.245 1
O62 O 0.832 0.469 0.028 1
O63 O 0.835 0.977 0.094 1
O64 O 0.842 0.683 0.530 1
O65 O 0.847 0.500 0.429 1
O66 O 0.857 0.654 0.928 1
O67 O 0.862 0.502 0.142 1
O68 O 0.869 0.635 0.639 1
O69 O 0.969 0.829 0.586 1
O70 O 0.973 0.199 0.805 1
O71 O 0.974 0.190 0.094 1
O72 O 0.975 0.828 0.306 1

***

3.
Density functional theory data (PBE) for a geometry-optimized MgInBr3 structure.

The structure in CIF format:
```
data_MgInBr3
_symmetry_space_group_name_H-M 'P n m a'
_symmetry_Int_Tables_number 62
_cell_length_a 9.642
_cell_length_b 4.010
_cell_length_c 15.659
_cell_angle_alpha 90.00
_cell_angle_beta 90.00
_cell_angle_gamma 90.00
loop_
_symmetry_equiv_pos_as_xyz
'x,y,z'
'-x,-y,-z'
'-x+1/2,-y,z+1/2'
'x+1/2,y,-z+1/2'
'x+1/2,-y+1/2,-z+1/2'
'-x+1/2,y+1/2,z+1/2'
'-x,y+1/2,-z'
'x,-y+1/2,z'
loop_
_atom_site_label
_atom_site_type_symbol
_atom_site_fract_x
_atom_site_fract_y
_atom_site_fract_z
_atom_site_occupancy
Mg1 Mg 0.161 0.250 0.053 1
In1 In 0.028 0.750 0.324 1
Br1 Br 0.020 0.250 0.901 1
Br2 Br 0.175 0.250 0.497 1
Br3 Br 0.226 0.750 0.707 1
```

***

Number 1: energy -4.166 eV per atom. Number 2: energy -7.589 eV per atom. Number 3: energy -3.015 eV per atom.